## one
Compound: MgV3O6
Source: Materials Project
Functional: PBE with a Hubbard U
Structure: relaxed

- crystal system = triclinic
- space group = No. 1

POSCAR file:
```
MgV3O6
1.0
-0.3576 -2.1740 4.6427
1.3578 -5.0603 -0.7111
3.3264 2.6909 3.0939
Mg O V
1 6 3
Direct
0.3419 0.4930 0.4861
0.2279 0.2036 0.2011
0.6997 0.0826 0.3750
0.2799 0.9364 0.6163
0.2802 0.6158 0.9270
0.7919 0.8096 0.7996
0.6930 0.3861 0.0776
0.9932 0.0304 0.0286
0.5178 0.8023 0.1466
0.5121 0.1564 0.8008
```

## two
Compound: MgV3O6
Source: Materials Project
Functional: PBE with a Hubbard U
Structure: relaxed

- crystal system = triclinic
- space group = No. 1

POSCAR file:
```
MgV3O6
1.0
5.3636 0.0906 0.1858
1.1506 4.9712 0.0528
1.1831 -2.3421 4.3667
V O Mg
3 6 1
Direct
0.4856 0.1875 0.8087
0.9947 0.0038 0.9875
0.4958 0.8262 0.1737
0.7486 0.8251 0.7873
0.2827 0.9640 0.6176
0.7339 0.4047 0.0656
0.2670 0.5983 0.9639
0.2360 0.1986 0.1857
0.7375 0.0230 0.3754
0.9558 0.6101 0.3309
```

Most stable: two. Least stable: one.

## one
Compound: MgV2Zn4O8
Source: Materials Project
Functional: PBE with a Hubbard U
Structure: relaxed

- crystal system = monoclinic
- space group = No. 12

POSCAR file:
```
MgV2Zn4O8
1.0
-0.5422 5.9481 -0.8022
-3.8587 3.2305 3.3155
2.3220 3.8460 4.4084
O Zn V Mg
8 4 2 1
Direct
0.3754 0.8617 0.8724
0.8746 0.3883 0.3776
0.3883 0.8746 0.3776
0.8510 0.8510 0.4458
0.3875 0.3875 0.3591
0.3990 0.3990 0.8042
0.8617 0.3754 0.8724
0.8625 0.8625 0.8909
0.6250 0.1250 0.6250
0.9607 0.9607 0.0924
0.1250 0.6250 0.6250
0.2893 0.2893 0.1576
0.6250 0.6250 0.1250
0.6250 0.6250 0.6250
0.1250 0.1250 0.6250
```

## two
Compound: MgV2Zn4O8
Source: Materials Project
Functional: PBE with a Hubbard U
Structure: relaxed

- crystal system = orthorhombic
- space group = No. 44

POSCAR file:
```
MgV2Zn4O8
1.0
5.4655 0.1941 3.0973
2.0048 5.0882 3.0973
0.0000 0.0000 6.1947
O Zn V Mg
8 4 2 1
Direct
0.3627 0.3627 0.4136
0.3627 0.3627 0.8610
0.3240 0.8073 0.9343
0.3779 0.8385 0.3918
0.8119 0.8119 0.9101
0.8385 0.3779 0.3918
0.8073 0.3240 0.9343
0.8119 0.8119 0.4661
0.2444 0.2444 0.2556
0.1104 0.6803 0.6046
0.6803 0.1104 0.6046
0.1964 0.1964 0.8036
0.5943 0.5943 0.1499
0.5943 0.5943 0.6615
0.9106 0.9106 0.0894
```

Most stable: two. Least stable: one.

## one
Compound: MgV4ZnO10
Source: Materials Project
Functional: PBE with a Hubbard U
Structure: relaxed

- crystal system = monoclinic
- space group = No. 6

POSCAR file:
```
MgV4ZnO10
1.0
-2.9743 0.8689 -1.6509
-0.7379 -4.7909 2.5181
-3.7164 5.6563 9.6726
Zn V O Mg
1 4 10 1
Direct
0.9095 0.8204 0.7500
0.2087 0.4169 0.6004
0.2087 0.4169 0.8996
0.7827 0.5664 0.1023
0.7827 0.5664 0.3977
0.3074 0.6147 0.7500
0.2191 0.4383 0.4322
0.6943 0.3899 0.2500
0.2191 0.4383 0.0678
0.9406 0.8848 0.3561
0.0520 0.1018 0.6330
0.0520 0.1018 0.8670
0.7792 0.5589 0.9298
0.9406 0.8848 0.1439
0.7792 0.5589 0.5702
0.5028 0.0102 0.2500
```

## two
Compound: MgV4ZnO10
Source: Materials Project
Functional: PBE with a Hubbard U
Structure: relaxed

- crystal system = orthorhombic
- space group = No. 38

POSCAR file:
```
MgV4ZnO10
1.0
3.8012 0.0000 0.0000
-1.9006 5.2836 0.0000
0.0000 0.0000 11.4105
Zn O V Mg
1 10 4 1
Direct
0.8664 0.7328 0.7500
0.0428 0.0857 0.8558
0.7540 0.5079 0.9111
0.9515 0.9031 0.3987
0.7540 0.5079 0.5889
0.0428 0.0857 0.6442
0.3219 0.6438 0.7500
0.7498 0.4995 0.2500
0.2500 0.4999 0.0654
0.9515 0.9031 0.1013
0.2500 0.4999 0.4346
0.7990 0.5979 0.0987
0.2053 0.4106 0.9063
0.2053 0.4106 0.5937
0.7990 0.5979 0.4013
0.5427 0.0854 0.7500
```

## three
Compound: MgV4ZnO10
Source: Materials Project
Functional: PBE with a Hubbard U
Structure: relaxed

- crystal system = orthorhombic
- space group = No. 38

POSCAR file:
```
MgV4ZnO10
1.0
-2.8007 1.1195 2.1342
-1.8889 -1.6195 -4.8228
-1.1682 -10.5453 3.9986
V O Mg Zn
4 10 1 1
Direct
0.7987 0.5965 0.0988
0.7987 0.5965 0.4012
0.2022 0.4036 0.9033
0.2022 0.4036 0.5967
0.7651 0.5297 0.5742
0.0426 0.0847 0.6286
0.3028 0.6053 0.7500
0.7651 0.5297 0.9258
0.2331 0.4650 0.4225
0.0426 0.0847 0.8714
0.2331 0.4650 0.0775
0.9584 0.9160 0.3710
0.6974 0.3934 0.2500
0.9584 0.9160 0.1290
0.1077 0.2137 0.2500
0.8960 0.7922 0.7500
```

Most stable: three. Least stable: two.

## one
Compound: MgV2ZnO6
Source: Materials Project
Functional: PBE with a Hubbard U
Structure: relaxed

- crystal system = monoclinic
- space group = No. 8

POSCAR file:
```
MgV2ZnO6
1.0
3.8316 -0.0007 0.0004
-1.9159 5.1792 -0.4762
-0.0007 1.4458 6.6857
Zn O V Mg
1 6 2 1
Direct
0.8778 0.7568 0.9196
0.7047 0.4109 0.1424
0.9632 0.9272 0.2538
0.0703 0.1418 0.8420
0.7600 0.5212 0.6402
0.3322 0.6656 0.8802
0.2489 0.4990 0.4006
0.2160 0.4333 0.6915
0.8050 0.6111 0.3540
0.1470 0.2956 0.1256
```

## two
Compound: MgV2ZnO6
Source: Materials Project
Functional: PBE with a Hubbard U
Structure: relaxed

- crystal system = monoclinic
- space group = No. 8

POSCAR file:
```
MgV2ZnO6
1.0
3.9617 0.0001 -0.0004
-1.9807 4.8396 -0.7230
0.0000 0.8823 6.3216
O V Zn Mg
6 2 1 1
Direct
0.6775 0.3560 0.1630
0.2739 0.5489 0.4031
0.9404 0.8825 0.1688
0.6914 0.3837 0.6194
0.2575 0.5158 0.8767
0.9692 0.9400 0.6381
0.8157 0.6326 0.3697
0.1492 0.2995 0.6351
0.1359 0.2725 0.1328
0.8214 0.6434 0.8931
```

Most stable: one. Least stable: two.

## one
Compound: MgV2ZnO6
Source: Materials Project
Functional: PBE with a Hubbard U
Structure: relaxed

- crystal system = monoclinic
- space group = No. 8

POSCAR file:
```
MgV2ZnO6
1.0
3.6279 -0.0002 -0.0002
-1.8141 5.2212 -1.2443
-0.0003 0.2218 6.2088
V O Zn Mg
2 6 1 1
Direct
0.7751 0.5501 0.3216
0.2250 0.4499 0.7040
0.6501 0.2998 0.1084
0.9539 0.9075 0.2961
0.0462 0.0926 0.7305
0.6914 0.3828 0.5822
0.3510 0.7012 0.9161
0.3082 0.6164 0.4433
0.9993 0.0002 0.0134
0.4998 0.9996 0.5146
```

## two
Compound: MgV2ZnO6
Source: Materials Project
Functional: PBE with a Hubbard U
Structure: relaxed

- crystal system = monoclinic
- space group = No. 8

POSCAR file:
```
MgV2ZnO6
1.0
-1.6901 3.5929 -0.3129
-1.1269 -2.3484 4.4654
5.7883 2.7446 0.2559
O Zn Mg V
6 1 1 2
Direct
0.6517 0.3037 0.1276
0.3488 0.6981 0.9045
0.0191 0.0384 0.6901
0.6913 0.3829 0.5760
0.3164 0.6332 0.4291
0.9784 0.9574 0.2691
0.9463 0.8933 0.9327
0.4781 0.9568 0.2555
0.1846 0.3697 0.6298
0.8049 0.6102 0.3757
```

Most stable: one. Least stable: two.

## one
Compound: MgW2O5
Source: Materials Project
Functional: PBE with a Hubbard U
Structure: relaxed

- crystal system = orthorhombic
- space group = No. 63

POSCAR file:
```
MgW2O5
1.0
1.9160 -5.6039 0.0000
1.9160 5.6039 0.0000
0.0000 0.0000 10.9055
O Mg W
10 2 4
Direct
0.0303 0.9697 0.1201
0.2549 0.7451 0.9074
0.2549 0.7451 0.5926
0.6626 0.3374 0.7500
0.3374 0.6626 0.2500
0.7451 0.2549 0.0926
0.9697 0.0303 0.8799
0.9697 0.0303 0.6201
0.0303 0.9697 0.3799
0.7451 0.2549 0.4074
0.9032 0.0968 0.2500
0.0968 0.9032 0.7500
0.8100 0.1900 0.6238
0.8100 0.1900 0.8762
0.1900 0.8100 0.1238
0.1900 0.8100 0.3762
```

## two
Compound: MgW2O5
Source: Materials Project
Functional: PBE with a Hubbard U
Structure: relaxed

- crystal system = triclinic
- space group = No. 1

POSCAR file:
```
MgW2O5
1.0
3.2226 0.0000 0.0000
0.0508 5.2345 0.0000
0.1525 1.1413 12.4917
O W Mg
10 4 2
Direct
0.2500 0.3508 0.0582
0.2609 0.0847 0.8367
0.2336 0.8108 0.3486
0.7601 0.6528 0.5562
0.7330 0.3821 0.2574
0.7531 0.6572 0.9237
0.2518 0.6180 0.7425
0.2724 0.3479 0.4625
0.7655 0.1979 0.6567
0.7336 0.9315 0.1592
0.7423 0.5977 0.1040
0.7642 0.5847 0.3891
0.2606 0.4241 0.6122
0.2559 0.3981 0.8963
0.7647 0.8956 0.7773
0.2282 0.0973 0.2236
```

Most stable: two. Least stable: one.

## one
Compound: NaNdMnWO6
Source: Materials Project
Functional: PBE with a Hubbard U
Structure: relaxed

- crystal system = monoclinic
- space group = No. 4

POSCAR file:
```
NaNdMnWO6
1.0
5.7058 0.0000 0.0000
0.0000 5.5846 0.0000
0.0000 0.0137 8.0714
O W Na Mn Nd
12 2 2 2 2
Direct
0.9901 0.0563 0.3129
0.5832 0.4549 0.7765
0.0559 0.5794 0.7825
0.9587 0.0247 0.6882
0.0832 0.5451 0.2235
0.7284 0.8327 0.9811
0.4587 0.9753 0.3118
0.7891 0.6547 0.5083
0.2891 0.3453 0.4917
0.4901 0.9437 0.6871
0.5559 0.4206 0.2175
0.2284 0.1673 0.0189
0.7600 0.7430 0.7592
0.2600 0.2570 0.2408
0.2840 0.7485 0.9992
0.7840 0.2515 0.0008
0.2524 0.2511 0.7611
0.7524 0.7489 0.2389
0.7055 0.2385 0.5008
0.2055 0.7615 0.4992
```

## two
Compound: NaNdMnWO6
Source: Materials Project
Functional: PBE with a Hubbard U
Structure: relaxed

- crystal system = cubic
- space group = No. 216

POSCAR file:
```
NaNdMnWO6
1.0
-0.4907 5.1212 2.4342
-5.1331 2.3823 0.6067
-2.3205 0.4807 5.1746
O Nd W Mn Na
6 1 1 1 1
Direct
0.2598 0.7402 0.2598
0.7402 0.2598 0.7402
0.2598 0.2598 0.7402
0.2598 0.7402 0.7402
0.7402 0.2598 0.2598
0.7402 0.7402 0.2598
0.2500 0.2500 0.2500
0.5000 0.5000 0.5000
0.0000 0.0000 0.0000
0.7500 0.7500 0.7500
```

Most stable: one. Least stable: two.